1.
{"formula": "LaAlO3", "functional": "GGA-PBE", "state": "optimized geometry", "ef_ev_per_fu": -18.5, "energy_ev_per_fu": -39.9, "lattice": [[7.353, 0.000, 0.000], [0.045, 7.926, 0.000], [0.919, 1.982, 8.027]], "species": ["La", "La", "La", "La", "La", "La", "Al", "Al", "Al", "Al", "Al", "Al", "O", "O", "O", "O", "O", "O", "O", "O", "O", "O", "O", "O", "O", "O", "O", "O", "O", "O"], "frac_coords": [[0.028, 0.255, 0.485], [0.263, 0.418, 0.818], [0.269, 0.923, 0.802], [0.731, 0.077, 0.198], [0.737, 0.582, 0.182], [0.972, 0.745, 0.515], [0.232, 0.105, 0.188], [0.234, 0.549, 0.186], [0.447, 0.769, 0.406], [0.553, 0.231, 0.594], [0.766, 0.451, 0.814], [0.768, 0.895, 0.812], [0.021, 0.028, 0.314], [0.022, 0.567, 0.308], [0.228, 0.119, 0.975], [0.232, 0.642, 0.972], [0.247, 0.323, 0.205], [0.293, 0.721, 0.592], [0.309, 0.229, 0.603], [0.412, 0.984, 0.282], [0.417, 0.624, 0.274], [0.583, 0.376, 0.726], [0.588, 0.016, 0.718], [0.691, 0.771, 0.397], [0.707, 0.279, 0.408], [0.753, 0.677, 0.795], [0.768, 0.358, 0.028], [0.772, 0.881, 0.025], [0.978, 0.433, 0.692], [0.979, 0.972, 0.686]]}



2.
{"formula": "LaAlO3", "functional": "GGA-PBE", "state": "optimized geometry", "ef_ev_per_fu": -18.1, "energy_ev_per_fu": -39.6, "lattice": [[8.802, 0.000, 0.000], [0.000, 8.927, 0.000], [-1.987, 0.000, 10.577]], "species": ["La", "La", "La", "La", "La", "La", "La", "La", "La", "La", "La", "La", "Al", "Al", "Al", "Al", "Al", "Al", "Al", "Al", "Al", "Al", "Al", "Al", "O", "O", "O", "O", "O", "O", "O", "O", "O", "O", "O", "O", "O", "O", "O", "O", "O", "O", "O", "O", "O", "O", "O", "O", "O", "O", "O", "O", "O", "O", "O", "O", "O", "O", "O", "O"], "frac_coords": [[0.013, 0.066, 0.169], [0.013, 0.434, 0.669], [0.330, 0.640, 0.943], [0.330, 0.860, 0.443], [0.456, 0.027, 0.173], [0.456, 0.473, 0.673], [0.544, 0.527, 0.327], [0.544, 0.973, 0.827], [0.670, 0.140, 0.557], [0.670, 0.360, 0.057], [0.987, 0.566, 0.331], [0.987, 0.934, 0.831], [0.179, 0.746, 0.662], [0.179, 0.754, 0.162], [0.230, 0.091, 0.643], [0.230, 0.409, 0.143], [0.294, 0.234, 0.921], [0.294, 0.266, 0.421], [0.706, 0.734, 0.579], [0.706, 0.766, 0.079], [0.770, 0.591, 0.857], [0.770, 0.909, 0.357], [0.821, 0.246, 0.838], [0.821, 0.254, 0.338], [0.076, 0.692, 0.782], [0.076, 0.808, 0.282], [0.124, 0.577, 0.100], [0.124, 0.923, 0.600], [0.157, 0.602, 0.546], [0.157, 0.898, 0.046], [0.200, 0.236, 0.058], [0.200, 0.264, 0.558], [0.243, 0.084, 0.810], [0.243, 0.416, 0.310], [0.266, 0.099, 0.326], [0.266, 0.401, 0.826], [0.375, 0.741, 0.742], [0.375, 0.759, 0.242], [0.417, 0.038, 0.610], [0.417, 0.462, 0.110], [0.485, 0.167, 0.986], [0.485, 0.333, 0.486], [0.515, 0.667, 0.514], [0.515, 0.833, 0.014], [0.583, 0.538, 0.890], [0.583, 0.962, 0.390], [0.625, 0.241, 0.758], [0.625, 0.259, 0.258], [0.734, 0.599, 0.174], [0.734, 0.901, 0.674], [0.757, 0.584, 0.690], [0.757, 0.916, 0.190], [0.800, 0.736, 0.442], [0.800, 0.764, 0.942], [0.843, 0.102, 0.954], [0.843, 0.398, 0.454], [0.876, 0.077, 0.400], [0.876, 0.423, 0.900], [0.924, 0.192, 0.718], [0.924, 0.308, 0.218]]}



3.
{"formula": "LaAlO3", "functional": "GGA-PBE", "state": "optimized geometry", "ef_ev_per_fu": -18.6, "energy_ev_per_fu": -40.1, "lattice": [[-2.694, 2.694, 3.840], [2.694, -2.694, 3.840], [2.694, 2.694, -3.840]], "species": ["La", "La", "Al", "Al", "O", "O", "O", "O", "O", "O"], "frac_coords": [[0.250, 0.750, 0.500], [0.750, 0.250, 0.500], [0.000, 0.000, 0.000], [0.500, 0.500, 0.000], [0.221, 0.721, 0.942], [0.250, 0.250, 0.000], [0.279, 0.221, 0.500], [0.721, 0.779, 0.500], [0.750, 0.750, 0.000], [0.779, 0.279, 0.058]]}